! RbB2P2HO9, optimized geometry, DFT PBE-GGA; values from VASP
&SYSTEM
  ibrav = 0, nat = 60, ntyp = 5
/
ATOMIC_SPECIES
Rb 85.47 Rb.upf
B 10.81 B.upf
P 30.97 P.upf
H 1.01 H.upf
O 16.00 O.upf
ATOMIC_POSITIONS crystal
Rb 0.380 0.728 0.810
Rb 0.120 0.728 0.310
Rb 0.880 0.272 0.690
Rb 0.620 0.272 0.190
B 0.638 0.932 0.640
B 0.862 0.932 0.140
B 0.636 0.616 0.531
B 0.864 0.616 0.031
B 0.136 0.384 0.969
B 0.364 0.384 0.469
B 0.138 0.068 0.860
B 0.362 0.068 0.360
P 0.708 0.873 0.943
P 0.792 0.873 0.443
P 0.038 0.710 0.823
P 0.462 0.710 0.323
P 0.538 0.290 0.677
P 0.962 0.290 0.177
P 0.208 0.127 0.557
P 0.292 0.127 0.057
H 0.980 0.778 0.589
H 0.520 0.778 0.089
H 0.480 0.222 0.911
H 0.020 0.222 0.411
O 0.205 0.991 0.995
O 0.295 0.991 0.495
O 0.046 0.928 0.848
O 0.715 0.938 0.770
O 0.454 0.928 0.348
O 0.905 0.895 0.503
O 0.785 0.938 0.270
O 0.595 0.895 0.003
O 0.593 0.743 0.630
O 0.750 0.656 0.985
O 0.041 0.689 0.652
O 0.928 0.624 0.883
O 0.907 0.743 0.130
O 0.136 0.596 0.900
O 0.750 0.656 0.485
O 0.459 0.689 0.152
O 0.572 0.624 0.383
O 0.364 0.596 0.400
O 0.636 0.404 0.600
O 0.428 0.376 0.617
O 0.541 0.311 0.848
O 0.250 0.344 0.515
O 0.864 0.404 0.100
O 0.093 0.257 0.870
O 0.072 0.376 0.117
O 0.959 0.311 0.348
O 0.250 0.344 0.015
O 0.407 0.257 0.370
O 0.405 0.105 0.997
O 0.215 0.062 0.730
O 0.095 0.105 0.497
O 0.546 0.072 0.652
O 0.285 0.062 0.230
O 0.954 0.072 0.152
O 0.705 0.009 0.505
O 0.795 0.009 0.005
CELL_PARAMETERS angstrom
12.307 0.000 0.000
0.000 6.864 0.000
0.000 1.185 8.869
! Spin magnetization ... 0.00 μB/f.u.
! Total energy after the MP2020 corrections ... -449.523 eV per cell
! Calculated total energy ... -424.79 eV per cell
! ρ ... 2.8 g/cm3
! SG ... P2_1/c (14)

=====

! ZrGeP2SO12, optimized geometry, DFT PBE-GGA; values from VASP
&SYSTEM
  ibrav = 0, nat = 102, ntyp = 5
/
ATOMIC_SPECIES
Zr 91.22 Zr.upf
Ge 72.64 Ge.upf
P 30.97 P.upf
S 32.06 S.upf
O 16.00 O.upf
ATOMIC_POSITIONS crystal
Zr 0.000 0.004 0.354
Zr 0.993 0.006 0.647
Zr 0.011 0.002 0.133
Zr 0.666 0.337 0.695
Zr 0.677 0.337 0.476
Zr 0.326 0.672 0.302
Ge 0.003 0.000 0.859
Ge 0.671 0.339 0.180
Ge 0.654 0.336 0.974
Ge 0.333 0.669 0.017
Ge 0.337 0.670 0.523
Ge 0.350 0.672 0.820
P 0.307 0.031 0.243
P 0.974 0.277 0.243
P 0.275 0.294 0.761
P 0.709 0.988 0.760
P 0.973 0.356 0.584
P 0.649 0.618 0.583
P 0.952 0.596 0.076
P 0.403 0.362 0.077
P 0.626 0.672 0.919
P 0.333 0.952 0.918
P 0.611 0.936 0.419
P 0.065 0.681 0.419
S 0.720 0.697 0.244
S 0.018 0.721 0.759
S 0.379 0.031 0.584
S 0.645 0.043 0.077
S 0.042 0.376 0.918
S 0.325 0.385 0.418
O 0.220 0.054 0.300
O 0.826 0.778 0.299
O 0.945 0.165 0.300
O 0.198 0.168 0.816
O 0.974 0.795 0.812
O 0.833 0.027 0.814
O 0.787 0.950 0.704
O 0.159 0.209 0.706
O 0.051 0.830 0.705
O 0.797 0.811 0.191
O 0.002 0.187 0.188
O 0.182 0.984 0.189
O 0.880 0.378 0.639
O 0.490 0.117 0.638
O 0.621 0.501 0.639
O 0.873 0.477 0.132
O 0.611 0.121 0.131
O 0.523 0.397 0.133
O 0.470 0.306 0.022
O 0.832 0.514 0.020
O 0.687 0.158 0.023
O 0.453 0.140 0.531
O 0.678 0.532 0.528
O 0.854 0.313 0.529
O 0.541 0.716 0.972
O 0.161 0.451 0.972
O 0.287 0.827 0.973
O 0.531 0.823 0.477
O 0.300 0.465 0.473
O 0.176 0.704 0.476
O 0.141 0.647 0.362
O 0.506 0.848 0.362
O 0.351 0.487 0.364
O 0.120 0.496 0.866
O 0.375 0.868 0.864
O 0.499 0.622 0.864
O 0.053 0.849 0.411
O 0.798 0.958 0.412
O 0.160 0.210 0.414
O 0.025 0.197 0.911
O 0.165 0.972 0.909
O 0.813 0.837 0.909
O 0.003 0.196 0.593
O 0.197 0.002 0.594
O 0.814 0.802 0.594
O 0.970 0.780 0.086
O 0.798 0.015 0.085
O 0.214 0.201 0.087
O 0.689 0.152 0.748
O 0.463 0.318 0.749
O 0.860 0.542 0.750
O 0.720 0.527 0.237
O 0.805 0.292 0.233
O 0.483 0.204 0.231
O 0.646 0.504 0.926
O 0.860 0.352 0.926
O 0.502 0.139 0.927
O 0.623 0.117 0.426
O 0.480 0.358 0.424
O 0.876 0.518 0.425
O 0.390 0.531 0.067
O 0.139 0.614 0.067
O 0.477 0.868 0.071
O 0.373 0.858 0.578
O 0.480 0.635 0.576
O 0.152 0.527 0.575
O 0.341 0.873 0.252
O 0.536 0.664 0.252
O 0.141 0.462 0.252
O 0.285 0.475 0.771
O 0.180 0.706 0.769
O 0.524 0.820 0.768
CELL_PARAMETERS angstrom
-0.718 -5.673 -6.434
7.811 2.908 2.340
1.966 -16.828 14.641
! Spin magnetization ... 0.00 μB/f.u.
! Total energy after the MP2020 corrections ... -787.525 eV per cell
! Calculated total energy ... -738.06 eV per cell
! ρ ... 3.1 g/cm3
! SG ... P1 (1)

=====

! Na3H6Ir, optimized geometry, DFT PBE-GGA; values from VASP
&SYSTEM
  ibrav = 0, nat = 40, ntyp = 3
/
ATOMIC_SPECIES
Na 22.99 Na.upf
H 1.01 H.upf
Ir 192.22 Ir.upf
ATOMIC_POSITIONS crystal
Na 0.250 0.547 0.872
Na 0.250 0.047 0.628
Na 0.750 0.453 0.128
Na 0.750 0.953 0.372
Na 0.250 0.895 0.964
Na 0.250 0.395 0.536
Na 0.750 0.105 0.036
Na 0.750 0.605 0.464
Na 0.250 0.717 0.249
Na 0.250 0.217 0.251
Na 0.750 0.283 0.751
Na 0.750 0.783 0.749
H 0.477 0.831 0.531
H 0.023 0.331 0.969
H 0.977 0.169 0.469
H 0.523 0.669 0.031
H 0.523 0.169 0.469
H 0.977 0.669 0.031
H 0.023 0.831 0.531
H 0.477 0.331 0.969
H 0.470 0.610 0.662
H 0.030 0.110 0.838
H 0.970 0.390 0.338
H 0.530 0.890 0.162
H 0.530 0.390 0.338
H 0.970 0.890 0.162
H 0.030 0.610 0.662
H 0.470 0.110 0.838
H 0.250 0.623 0.453
H 0.250 0.123 0.047
H 0.750 0.377 0.547
H 0.750 0.877 0.953
H 0.250 0.819 0.744
H 0.250 0.319 0.756
H 0.750 0.181 0.256
H 0.750 0.681 0.244
Ir 0.250 0.723 0.597
Ir 0.250 0.223 0.903
Ir 0.750 0.277 0.403
Ir 0.750 0.777 0.097
CELL_PARAMETERS angstrom
5.261 0.000 0.000
0.000 9.335 0.000
0.000 0.000 9.654
! Calculated total energy ... -147.44 eV per cell
! ρ ... 3.7 g/cm3
! SG ... Pnma (62)